Record 1
VASP calculation (PBE+U) on a relaxed structure of Li2Mn2C2O7.

```
52
Lattice="-5.3483 1.4234 -4.0418 -5.8501 -4.5664 6.1330 -4.0719 5.8823 7.4596" Properties=species:S:1:pos:R:3 pbc="T T T"
Li -2.8919 -0.8090 0.6037
Li -6.5425 -0.1380 1.1012
Li -4.6911 4.8646 6.2232
Li -9.4838 5.8397 5.8576
Li -5.7865 -3.1003 3.6932
Li -10.5792 -2.1253 3.3276
Li -8.7278 2.8773 8.4495
Li -12.3784 3.5484 8.9471
Mn -10.2231 3.3698 3.6418
Mn -10.9781 0.5091 8.3482
Mn -4.2922 2.2303 1.2025
Mn -5.0472 -0.6304 5.9090
Mn -7.0956 2.6850 2.9515
Mn -11.2467 0.7281 5.0914
Mn -4.0236 2.0112 4.4593
Mn -8.1747 0.0544 6.5992
C -6.8677 3.1221 6.0597
C -7.9139 5.7839 3.6561
C -4.5580 -0.7276 2.7325
C -8.6676 0.5395 9.9765
C -6.6028 2.1998 -0.4257
C -10.7123 3.4670 6.8183
C -7.3564 -3.0446 5.8947
C -8.4026 -0.3828 3.4910
O -7.5994 2.7773 5.0832
O -5.0286 3.0070 2.9706
O -7.3694 3.4253 7.2327
O -5.5509 3.1693 5.9563
O -10.6152 4.7564 6.8791
O -7.1228 4.9771 3.0368
O -9.1065 5.3794 4.0366
O -13.0692 1.1713 6.2266
O -6.2624 0.2737 7.3153
O -9.5397 0.9412 10.8696
O -8.8442 0.9841 8.7444
O -4.3367 -0.0648 1.6180
O -4.6940 -0.0952 3.8468
O -13.4231 2.4420 10.0341
O -1.8472 0.2973 -0.4833
O -10.5763 2.8345 5.7040
O -10.9336 2.8041 7.9328
O -6.4261 1.7552 0.8063
O -5.7306 1.7981 -1.3188
O -9.0080 2.4657 2.2355
O -2.2012 1.5680 3.3242
O -6.1638 -2.6401 5.5141
O -8.1475 -2.2378 6.5139
O -4.6551 -2.0171 2.6717
O -9.7194 -0.4300 3.5945
O -7.9009 -0.6859 2.3180
O -10.2417 -0.2676 6.5802
O -7.6709 -0.0380 4.4676
```

Record 2
VASP calculation (PBE+U) on a relaxed structure of LiMnCO4.

```
28
Lattice="3.2843 0.0000 -0.0318 0.0000 9.1718 0.0000 -0.1281 0.0000 9.3667" Properties=species:S:1:pos:R:3 pbc="T T T"
Li 0.6871 2.8645 8.4364
Li 0.7511 1.7214 3.7530
Li 2.4052 7.4504 5.5819
Li 2.4692 6.3072 0.8985
Mn 0.7065 8.5752 8.2754
Mn 0.7706 5.1825 3.5920
Mn 2.3857 3.9893 5.7429
Mn 2.4498 0.5966 1.0596
C 0.7000 5.7641 7.8783
C 0.7641 7.9935 3.1950
C 2.3922 1.1782 6.1399
C 2.4562 3.4077 1.4566
O 0.6846 4.6310 7.1951
O 0.7222 1.0120 9.2885
O 0.7086 6.8902 7.1778
O 0.7487 9.1266 2.5117
O 0.7862 3.5739 4.6051
O 0.7726 6.8675 2.4945
O 0.7092 5.7819 9.1307
O 0.7732 7.9758 4.4473
O 2.3831 1.1960 4.8876
O 2.4471 3.3899 0.2042
O 2.3837 2.3043 6.8405
O 2.3700 5.5978 4.7298
O 2.4076 0.0451 6.8232
O 2.4477 2.2816 2.1571
O 2.4341 8.1598 0.0465
O 2.4716 4.5408 2.1398
```

Output
Energy above the most stable polymorph in this dataset (eV/f.u.): 0.16

Record 3
VASP calculation (PBE+U) on a relaxed structure of LiMnC2O6.

```
40
Lattice="0.6027 -4.6498 1.6044 -12.2740 -1.6201 2.9011 -1.3707 -2.7022 -7.3126" Properties=species:S:1:pos:R:3 pbc="T T T"
Li -3.7960 -0.7813 0.5715
Li -9.6315 -3.9204 2.8269
Li -6.0812 -3.2127 -2.3846
Li -11.9168 -6.3545 -0.1305
Mn -7.2817 -5.8537 -5.0254
Mn -9.6617 -3.7014 -1.0895
Mn -1.4462 -2.7244 -7.2766
Mn -3.2239 -5.2134 -1.7385
C -0.5996 -4.5742 -0.4464
C -7.0376 -3.0579 0.2023
C -2.8181 -6.7373 -3.5134
C -9.2572 -5.2240 -2.8649
C -3.9054 -3.6173 -0.0286
C -10.3423 -2.1063 0.6193
C -5.9042 -6.0794 -3.0300
C -12.3416 -4.5699 -2.3788
O -0.7760 -1.0391 -1.4961
O -6.6091 -4.1720 0.7571
O -3.1738 -5.4826 -3.6885
O -9.6136 -3.9686 -3.0386
O -0.4236 -3.5226 0.3015
O -6.8628 -2.0059 0.9506
O -3.2228 -2.4011 -3.8697
O -9.0582 -5.5381 -1.6167
O -1.1057 -4.5445 -1.6157
O -7.5435 -3.0292 -0.9667
O -3.3161 -2.9080 -6.0881
O -9.1523 -6.0429 -3.8355
O -3.4184 -4.8081 0.2620
O -9.8535 -3.2957 0.9114
O -6.4123 -4.9249 -3.4159
O -12.2446 -8.0658 -1.1631
O -4.1336 -3.4529 -1.3177
O -9.9684 -6.5911 0.9349
O -6.0840 -7.0467 -3.9088
O -12.5203 -5.5356 -3.2592
O -4.1161 -2.7221 0.8375
O -9.9535 -5.8603 3.0890
O -5.3183 -6.2464 -1.9224
O -11.7602 -4.7352 -1.2688
```

Output
Energy above the most stable polymorph in this dataset (eV/f.u.): 0.44

Record 4
VASP calculation (PBE+U) on a relaxed structure of LiMnCO4.

```
28
Lattice="-2.1780 2.6463 -4.0444 3.1784 -3.7949 -4.1947 -6.6987 -7.4570 -1.2718" Properties=species:S:1:pos:R:3 pbc="T T T"
Li -4.2705 -7.5863 -7.3236
Li -1.2672 -3.4374 -7.3303
Li -4.4311 -5.1682 -2.1806
Li -1.4278 -1.0193 -2.1872
Mn -3.2732 -5.9990 -4.7904
Mn -6.3327 -5.6566 -6.3931
Mn 0.6345 -2.9490 -3.1177
Mn -2.4250 -2.6065 -4.7204
C -4.0953 -9.2891 -5.3837
C -0.8877 -5.3885 -5.0109
C -4.8106 -3.2171 -4.4999
C -1.6030 0.6835 -4.1271
O -3.1545 -8.6688 -5.9424
O 0.3402 -5.1170 -5.0366
O -6.1666 -7.2755 -8.2604
O -1.8084 -4.7727 -5.7513
O -1.3761 -6.2997 -4.2183
O -4.5337 -5.9973 -6.1549
O 1.4092 -1.8858 -4.6299
O -1.5225 -1.8581 -6.1467
O -4.1758 -6.7475 -3.3641
O -7.1074 -6.7197 -4.8810
O -1.1645 -2.6082 -3.3559
O -4.3222 -2.3059 -5.2926
O -3.8898 -3.8328 -3.7596
O 0.4683 -1.3301 -1.2504
O -6.0385 -3.4886 -4.4743
O -2.5437 0.0632 -3.5684
```

Output
Energy above the most stable polymorph in this dataset (eV/f.u.): 0.51

Record 5
VASP calculation (PBE+U) on a relaxed structure of Li3Mn2C4O12.

```
21
Lattice="5.3663 0.0000 0.0000 -2.6362 -5.8710 0.0000 -2.5601 0.1846 -8.2286" Properties=species:S:1:pos:R:3 pbc="T T T"
Li -0.7401 -5.6878 -2.8688
Li -0.7406 0.0146 -5.3194
Li -2.0205 -2.9155 -7.0636
Mn 0.8207 -2.8012 -4.0588
Mn 4.8638 -0.0311 -0.0366
C 0.3373 -2.3847 -1.7300
C 1.6920 -5.2671 -2.4708
C 1.7023 -0.4149 -5.7775
C 0.4277 -3.3328 -6.4934
O 0.0660 -2.1145 -0.5179
O 0.7542 -5.5182 -1.6113
O -0.5739 -2.6801 -2.6256
O 1.5481 -2.3674 -2.2176
O -2.4517 -5.3978 -2.0925
O 1.3616 -4.9059 -3.6893
O 1.3540 -0.7587 -4.5657
O 2.9358 -0.4498 -6.1807
O -0.4622 -2.9788 -5.5696
O 1.6582 -3.3239 -6.0894
O 0.7909 -0.0325 -6.6124
O 0.0073 -3.6512 -7.6448
```

Output
Piezoelectric modulus e_max (C/m²): 1.0
Energy above the most stable polymorph in this dataset (eV/f.u.): 0.00

Record 6
VASP calculation (PBE+U) on a relaxed structure of Li6Mn2PC4O16.

```
58
Lattice="0.0000 6.7286 6.7286 6.7286 0.0000 6.7286 6.7286 6.7286 0.0000" Properties=species:S:1:pos:R:3 pbc="T T T"
Li 12.7661 10.0929 10.0929
Li 6.7286 6.7286 4.0553
Li 10.0929 7.4196 10.0929
Li 10.0929 12.7661 10.0929
Li 6.7286 6.7286 9.4018
Li 9.4018 6.7286 6.7286
Li 10.0929 10.0929 7.4196
Li 7.4196 10.0929 10.0929
Li 6.7286 9.4018 6.7286
Li 6.7286 4.0553 6.7286
Li 10.0929 10.0929 12.7661
Li 4.0553 6.7286 6.7286
Mn 5.0464 1.6821 5.0464
Mn 1.6821 5.0464 5.0464
Mn 1.6821 1.6821 1.6821
Mn 5.0464 5.0464 1.6821
P 10.0929 10.0929 10.0929
P 6.7286 6.7286 6.7286
C 8.7696 4.6876 8.7696
C 4.6876 8.7696 8.7696
C 8.7696 8.7696 4.6876
C 4.6876 4.6876 4.6876
C 12.1338 12.1338 12.1338
C 8.0519 8.0519 12.1338
C 12.1338 8.0519 8.0519
C 8.0519 12.1338 8.0519
O 5.3422 7.1090 2.2125
O 8.1149 6.3481 2.2125
O 7.8804 4.7506 9.7124
O 7.8804 8.7065 3.7448
O 9.7124 5.5768 8.7065
O 9.1950 9.1950 9.1950
O 3.7448 7.8804 8.7065
O 9.1950 10.9907 10.9907
O 10.9907 10.9907 9.1950
O 8.7065 9.7124 5.5768
O 9.7124 7.8804 4.7506
O 10.9907 9.1950 10.9907
O 3.7448 5.5768 4.7506
O 5.5768 8.7065 9.7124
O 5.5768 4.7506 3.7448
O 5.3422 6.3481 11.2447
O 4.7506 3.7448 5.5768
O 11.2447 5.3422 6.3481
O 11.2447 8.1149 7.1090
O 6.3481 11.2447 5.3422
O 5.8307 7.6264 5.8307
O 7.1090 2.2125 5.3422
O 8.1149 7.1090 11.2447
O 7.6264 5.8307 5.8307
O 5.8307 5.8307 7.6264
O 6.3481 2.2125 8.1149
O 7.6264 7.6264 7.6264
O 7.1090 11.2447 8.1149
O 2.2125 8.1149 6.3481
O 2.2125 5.3422 7.1090
O 8.7065 3.7448 7.8804
O 4.7506 9.7124 7.8804
```

Energy relative to the elements for the records above, in order: -2020 -2031 -1941 -1981 -2011 -2163 meV per atom
E for the records above, in order: -7.181 -7.127 -7.283 -7.077 -7.190 -6.885 eV per atom